VASP calculation (GGA-PBE) on crystalline SrO10 at its relaxed geometry.

The distance to the lowest polymorph of the same formula is 2.4 meV/atom. The crystal system is tetragonal. The calculation puts the MP2020-corrected energy at -5.19 eV/atom. As for the magnetization: 0.00 μB/cell.

Geometry as CIF:
```
data_SrO10
_cell_length_a 5.850
_cell_length_b 5.850
_cell_length_c 10.770
_cell_angle_alpha 90.00
_cell_angle_beta 90.00
_cell_angle_gamma 90.00
_symmetry_space_group_name_H-M 'P 4/m c c'
_symmetry_Int_Tables_number 124
_symmetry_space_group_name_Hall '-P 4 2c'
loop_
_atom_site_label
_atom_site_type_symbol
_atom_site_fract_x
_atom_site_fract_y
_atom_site_fract_z
Sr1 Sr 0.000 0.000 0.000
O1 O 0.061 0.409 0.098
O2 O 0.500 0.500 0.057
```

VASP calculation (GGA-PBE) on crystalline ZnCu5P2O15 at its relaxed geometry.

The crystal system is monoclinic. The calculation puts the MP2020-corrected energy at -5.98 eV/atom. As for the magnetization: 19.99 μB/cell.

Geometry as CIF:
```
data_ZnCu5P2O15
_cell_length_a 11.749
_cell_length_b 8.595
_cell_length_c 10.864
_cell_angle_alpha 90.00
_cell_angle_beta 95.88
_cell_angle_gamma 90.00
_symmetry_space_group_name_H-M 'P 1 21/c 1'
_symmetry_Int_Tables_number 14
_symmetry_space_group_name_Hall '-P 2ybc'
loop_
_atom_site_label
_atom_site_type_symbol
_atom_site_fract_x
_atom_site_fract_y
_atom_site_fract_z
Zn1 Zn 0.033 0.096 0.331
Cu1 Cu 0.289 0.248 0.953
Cu2 Cu 0.290 0.573 0.949
Cu3 Cu 0.303 0.092 0.699
Cu4 Cu 0.307 0.593 0.441
Cu5 Cu 0.309 0.737 0.692
P1 P 0.043 0.240 0.076
P2 P 0.436 0.093 0.178
O1 O 0.009 0.615 0.345
O2 O 0.013 0.739 0.559
O3 O 0.037 0.098 0.634
O4 O 0.173 0.194 0.081
O5 O 0.203 0.600 0.568
O6 O 0.206 0.090 0.372
O7 O 0.223 0.585 0.159
O8 O 0.238 0.728 0.842
O9 O 0.239 0.086 0.848
O10 O 0.357 0.088 0.547
O11 O 0.372 0.728 0.039
O12 O 0.389 0.093 0.035
O13 O 0.390 0.231 0.250
O14 O 0.403 0.561 0.739
O15 O 0.432 0.603 0.314
```

VASP calculation (GGA-PBE) on crystalline Na2Li3GaO4 at its relaxed geometry.

The crystal system is orthorhombic. The calculation puts the MP2020-corrected energy at -5.20 eV/atom. As for the magnetization: 0.00 μB/cell.

Geometry as CIF:
```
data_Na2Li3GaO4
_cell_length_a 8.035
_cell_length_b 8.344
_cell_length_c 6.592
_cell_angle_alpha 90.00
_cell_angle_beta 90.00
_cell_angle_gamma 90.00
_symmetry_space_group_name_H-M 'P n n m'
_symmetry_Int_Tables_number 58
_symmetry_space_group_name_Hall '-P 2 2n'
loop_
_atom_site_label
_atom_site_type_symbol
_atom_site_fract_x
_atom_site_fract_y
_atom_site_fract_z
Na1 Na 0.000 0.000 0.242
Na2 Na 0.241 0.245 0.500
Li1 Li 0.015 0.648 0.255
Li2 Li 0.235 0.582 0.500
Ga1 Ga 0.225 0.374 0.000
O1 O 0.049 0.222 0.000
O2 O 0.064 0.774 0.500
O3 O 0.197 0.488 0.241
```

VASP calculation (GGA-PBE) on crystalline Ga3Pd7 at its relaxed geometry.

The crystal system is monoclinic.

Geometry as CIF:
```
data_Ga3Pd7
_cell_length_a 13.772
_cell_length_b 4.118
_cell_length_c 5.539
_cell_angle_alpha 90.00
_cell_angle_beta 105.03
_cell_angle_gamma 90.00
_symmetry_space_group_name_H-M 'C 1 2/m 1'
_symmetry_Int_Tables_number 12
_symmetry_space_group_name_Hall '-C 2y'
loop_
_atom_site_label
_atom_site_type_symbol
_atom_site_fract_x
_atom_site_fract_y
_atom_site_fract_z
Ga1 Ga 0.000 0.000 0.000
Ga2 Ga 0.191 0.000 0.662
Pd1 Pd 0.000 0.000 0.500
Pd2 Pd 0.082 0.500 0.855
Pd3 Pd 0.126 0.500 0.385
Pd4 Pd 0.206 0.000 0.138
```

VASP calculation (GGA-PBE) on crystalline Na3NbZn5S9O36 at its relaxed geometry.

The crystal system is trigonal. The calculation puts the MP2020-corrected energy at -6.35 eV/atom. As for the magnetization: 0.00 μB/cell.

Geometry as CIF:
```
data_Na3NbZn5S9O36
_cell_length_a 8.7107
_cell_length_b 8.7107
_cell_length_c 22.6813
_cell_angle_alpha 90.00
_cell_angle_beta 90.00
_cell_angle_gamma 120.00
_symmetry_space_group_name_H-M 'P 3 c 1'
_symmetry_Int_Tables_number 158
_symmetry_space_group_name_Hall 'P 3 -2"c'
loop_
_atom_site_label
_atom_site_type_symbol
_atom_site_fract_x
_atom_site_fract_y
_atom_site_fract_z
Na1 Na 0.0000 0.0000 0.0000
Na2 Na 0.3333 0.6667 0.1568
Na3 Na 0.6667 0.3333 0.3302
Nb1 Nb 0.3333 0.6667 0.3106
Zn1 Zn 0.0000 0.0000 0.1422
Zn2 Zn 0.0000 0.0000 0.3470
Zn3 Zn 0.3333 0.6667 0.0185
Zn4 Zn 0.6667 0.3333 0.1752
Zn5 Zn 0.6667 0.3333 0.4844
S1 S 0.0396 0.3721 0.4152
S2 S 0.2923 0.0063 0.7471
S3 S 0.3735 0.0405 0.0801
O1 O 0.0253 0.1988 0.4055
O2 O 0.0360 0.2184 0.6944
O3 O 0.1339 0.4904 0.3597
O4 O 0.1379 0.4937 0.0744
O5 O 0.1521 0.4566 0.4662
O6 O 0.1627 0.4738 0.7564
O7 O 0.1952 0.0229 0.0860
O8 O 0.2138 0.0283 0.8012
O9 O 0.4511 0.1477 0.0262
O10 O 0.4732 0.1565 0.7413
O11 O 0.4807 0.1178 0.1340
O12 O 0.4957 0.1333 0.4165
```

VASP calculation (GGA-PBE) on crystalline Lu5Si3 at its relaxed geometry.

The crystal system is hexagonal. The calculation puts the MP2020-corrected energy at -5.54 eV/atom.

Geometry as CIF:
```
data_Lu5Si3
_cell_length_a 8.2355
_cell_length_b 8.2355
_cell_length_c 6.1685
_cell_angle_alpha 90.00
_cell_angle_beta 90.00
_cell_angle_gamma 120.00
_symmetry_space_group_name_H-M 'P 63/m c m'
_symmetry_Int_Tables_number 193
_symmetry_space_group_name_Hall '-P 6c 2'
loop_
_atom_site_label
_atom_site_type_symbol
_atom_site_fract_x
_atom_site_fract_y
_atom_site_fract_z
Lu1 Lu 0.0000 0.2419 0.2500
Lu2 Lu 0.3333 0.6667 0.0000
Si1 Si 0.0000 0.3951 0.7500
```

VASP calculation (GGA-PBE) on crystalline NdFeSb3 at its relaxed geometry.

The distance to the lowest polymorph of the same formula is 17.0 meV/atom. The crystal system is orthorhombic. The calculation puts the MP2020-corrected energy at -5.71 eV/atom. As for the magnetization: 0.21 μB/cell.

Geometry as CIF:
```
data_NdFeSb3
_cell_length_a 12.709
_cell_length_b 6.237
_cell_length_c 18.492
_cell_angle_alpha 90.00
_cell_angle_beta 90.00
_cell_angle_gamma 90.00
_symmetry_space_group_name_H-M 'P b c m'
_symmetry_Int_Tables_number 57
_symmetry_space_group_name_Hall '-P 2c 2b'
loop_
_atom_site_label
_atom_site_type_symbol
_atom_site_fract_x
_atom_site_fract_y
_atom_site_fract_z
Nd1 Nd 0.193 0.048 0.250
Nd2 Nd 0.201 0.519 0.083
Fe1 Fe 0.395 0.250 0.000
Fe2 Fe 0.399 0.683 0.679
Sb1 Sb 0.003 0.250 0.000
Sb2 Sb 0.003 0.717 0.666
Sb3 Sb 0.279 0.016 0.085
Sb4 Sb 0.282 0.542 0.250
Sb5 Sb 0.441 0.167 0.250
Sb6 Sb 0.471 0.533 0.088
```

VASP calculation (GGA-PBE) on crystalline GdSiRu at its relaxed geometry.

The crystal system is tetragonal.

Geometry as CIF:
```
data_GdSiRu
_cell_length_a 4.229
_cell_length_b 4.229
_cell_length_c 6.623
_cell_angle_alpha 90.00
_cell_angle_beta 90.00
_cell_angle_gamma 90.00
_symmetry_space_group_name_H-M 'P 4/n m m'
_symmetry_Int_Tables_number 129
loop_
_symmetry_equiv_pos_as_xyz
'x,y,z'
'-x,-y,-z'
'-y+1/2,x,z'
'y+1/2,-x,-z'
'-x+1/2,-y+1/2,z'
'x+1/2,y+1/2,-z'
'y,-x+1/2,z'
'-y,x+1/2,-z'
'x+1/2,-y,-z'
'-x+1/2,y,z'
'-y,-x,-z'
'y,x,z'
'-x,y+1/2,-z'
'x,-y+1/2,z'
'y+1/2,x+1/2,-z'
'-y+1/2,-x+1/2,z'
loop_
_atom_site_label
_atom_site_type_symbol
_atom_site_fract_x
_atom_site_fract_y
_atom_site_fract_z
Gd1 Gd 0.250 0.250 0.178
Si1 Si 0.250 0.250 0.686
Ru1 Ru 0.250 0.750 0.500
```

Summary of formation enthalpy at 0 K in eV/atom
-0.54; -1.33; -2.08; -0.59; -1.99; -0.68; -0.58; -0.82
(order as listed above)